No. 1
First-principles (PBE+U) data for an optimized crystal structure of MgMo2Pb4O10, as listed in the Materials Project database.

Cell: 8.1713 8.1713 7.3545 Å, 109.69 109.69 44.34°
Element x y z (fractional)
Mg: 0.0000 0.0000 0.0000
Mo: 0.0202 0.3597 0.1785
Mo: 0.6403 0.9798 0.8215
Pb: 0.0809 0.1693 0.5803
Pb: 0.4357 0.5140 0.2428
Pb: 0.4860 0.5643 0.7572
Pb: 0.8307 0.9191 0.4197
O: 0.1604 0.0662 0.2451
O: 0.1994 0.8006 0.5000
O: 0.2077 0.4134 0.1945
O: 0.4207 0.2324 0.6959
O: 0.5866 0.7923 0.8055
O: 0.6862 0.3138 0.5000
O: 0.7437 0.0699 0.0837
O: 0.7676 0.5793 0.3041
O: 0.9301 0.2563 0.9163
O: 0.9338 0.8396 0.7549

Output
Electronic total energy (eV/atom): -6.14
E_form (eV per formula unit): -29.97
SG: No. 5

***

No. 2
First-principles (PBE+U) data for an optimized crystal structure of RbMgMoO3, as listed in the Materials Project database.

Cell: 4.5007 4.5007 4.5546 Å, 97.54 97.54 82.96°
Element x y z (fractional)
Rb: 0.0000 0.0000 0.0000
Mg: 0.6813 0.6813 0.3254
Mo: 0.3774 0.3774 0.6262
O: 0.4072 0.8942 0.5912
O: 0.4111 0.4111 0.1028
O: 0.8942 0.4072 0.5912

Output
Electronic total energy (eV/atom): -5.54
E_form (eV per formula unit): -10.23
E above lowest polymorph (meV per atom): 0
SG: No. 8

***

No. 3
First-principles (PBE+U) data for an optimized crystal structure of RbMgMoO3, as listed in the Materials Project database.

Cell: 4.2060 4.2060 5.1195 Å, 90.00 90.00 90.00°
Element x y z (fractional)
Rb: 0.0000 0.0000 0.0000
Mg: 0.0000 0.0000 0.5000
Mo: 0.5000 0.5000 0.5000
O: 0.0000 0.5000 0.5000
O: 0.5000 0.0000 0.5000
O: 0.5000 0.5000 0.0000

Output
Electronic total energy (eV/atom): -5.31
E_form (eV per formula unit): -8.88
E above lowest polymorph (meV per atom): 225
SG: No. 123

***

No. 4
First-principles (PBE+U) data for an optimized crystal structure of Rb4MgMo2S4O4, as listed in the Materials Project database.

Cell: 6.6393 6.8598 10.7850 Å, 89.51 73.72 64.97°
Element x y z (fractional)
Rb: 0.0000 0.0000 0.0000
Rb: 0.0107 0.4155 0.5695
Rb: 0.4644 0.2210 0.7727
Rb: 0.4834 0.7184 0.3556
Mg: 0.4316 0.1452 0.1538
Mo: 0.6536 0.6307 0.9326
Mo: 0.7385 0.1423 0.3795
S: 0.0098 0.2673 0.2655
S: 0.4312 0.4881 0.0787
S: 0.4803 0.7071 0.7706
S: 0.9236 0.9070 0.5062
O: 0.5004 0.3556 0.4981
O: 0.5823 0.9046 0.0115
O: 0.6508 0.0299 0.2581
O: 0.9421 0.4179 0.8598

Output
Electronic total energy (eV/atom): -5.06
E_form (eV per formula unit): -23.47
E above lowest polymorph (meV per atom): 0
SG: No. 1

***

The highest E_form belongs to which entry?
number 3